TePO5 after structural relaxation, computed with r2SCAN.

Calculated values
**Energy of formation from the pure elements**: -1.609 eV/atom
**Total moment**: 0.00 μB per cell
**Symmetry**: Pnma (62)

Cell lengths 6.5308, 7.4809, 7.3911 Å; angles 90.00, 90.00, 90.00 degrees
Sites, in units of the cell vectors:
O: 0.7500 0.4542 0.9782
O: 0.7500 0.9542 0.5218
O: 0.2500 0.0458 0.4782
Te: 0.7500 0.3698 0.2487
O: 0.7500 0.1192 0.1752
O: 0.7500 0.7957 0.9870
O: 0.5644 0.1314 0.7595
O: 0.4356 0.3686 0.2595
P: 0.7500 0.1276 0.6333
O: 0.2500 0.7043 0.4870
O: 0.9356 0.1314 0.7595
O: 0.2500 0.2043 0.0130
Te: 0.7500 0.8698 0.2513
O: 0.2500 0.8808 0.8248
O: 0.4356 0.8686 0.2405
Te: 0.2500 0.6302 0.7513
P: 0.2500 0.3724 0.1333
O: 0.2500 0.5458 0.0218
O: 0.9356 0.6314 0.7405
O: 0.2500 0.3808 0.6752
O: 0.7500 0.2957 0.5130
O: 0.0644 0.3686 0.2595
P: 0.7500 0.6276 0.8667
P: 0.2500 0.8724 0.3667
Te: 0.2500 0.1302 0.7487
O: 0.0644 0.8686 0.2405
O: 0.7500 0.6192 0.3248
O: 0.5644 0.6314 0.7405